# 1
First-principles (PBE) data for AgMo6Se4S4 after structural relaxation, as listed in Materials Project.

abc: 6.6235 6.6756 6.7048
angles: 91.03 91.72 91.17
Last column: nearest neighbours and their distance in Å.
Atoms (fractional coordinates):
Mo  0.4437  0.7775  0.5876  2 S 2.43-2.55, 3 Se 2.52-2.66
Mo  0.5592  0.2278  0.4132  3 S 2.43-2.48, 2 Se 2.55-2.61, 1 Mo 2.70
Mo  0.7867  0.5871  0.4450  3 S 2.46-2.49, 2 Se 2.53-2.56
Mo  0.5884  0.4431  0.7762  3 S 2.46-2.57, 2 Se 2.54-2.65
Ag  0.9995  0.0000  0.9984  2 Se 2.50
S  0.7259  0.3887  0.1331  4 Mo 2.46-2.57
Se  0.2518  0.6225  0.8764  4 Mo 2.56-2.65
Se  0.6271  0.8758  0.2544  4 Mo 2.56-2.66
Mo  0.4118  0.5521  0.2299  2 S 2.44-2.47, 3 Se 2.54-2.62, 1 Mo 2.70
Se  0.2182  0.2188  0.2256  1 Ag 2.50, 3 Mo 2.53-2.55
S  0.1337  0.7196  0.3909  4 Mo 2.43-2.49
S  0.3888  0.1309  0.7217  4 Mo 2.43-2.55
Mo  0.2163  0.4044  0.5583  3 S 2.43-2.49, 2 Se 2.53-2.56
Se  0.7801  0.7772  0.7747  1 Ag 2.50, 3 Mo 2.52-2.54
S  0.8688  0.2745  0.6147  4 Mo 2.43-2.49

Computed properties:
Space group   P1
V   19.747 Å³ per atom
Total energy   -106.432 eV/cell
Magnetization   0.003 μB per atom



# 2
First-principles (PBE) data for Cs3ZnCl5 after structural relaxation, as listed in Materials Project.

abc: 9.9393 9.9393 9.9393
angles: 123.47 123.47 84.08
Last column: nearest neighbours and their distance in Å.
Atoms (fractional coordinates):
Cs  0.8341  0.3341  0.1683  8 Cl 3.50-3.70
Zn  0.7500  0.2500  0.5000  4 Cl 2.29
Zn  0.2500  0.7500  0.5000  4 Cl 2.29
Cs  0.1659  0.6659  0.8317  8 Cl 3.50-3.70
Cs  0.2500  0.2500  0.0000  10 Cl 3.69-3.89
Cl  0.0194  0.7963  0.5000  1 Zn 2.29
Cs  0.7500  0.7500  0.0000  10 Cl 3.69-3.89
Cl  0.0000  0.0000  0.0000  6 Cs 3.51-3.69
Cl  0.2037  0.7037  0.2232  1 Zn 2.29
Cl  0.5000  0.5000  0.0000  6 Cs 3.51-3.69
Cs  0.3341  0.1659  0.5000  8 Cl 3.50-3.70
Cl  0.7963  0.2963  0.7768  1 Zn 2.29
Cl  0.9806  0.2037  0.5000  1 Zn 2.29
Cl  0.2963  0.5194  0.5000  1 Zn 2.29
Cl  0.5194  0.0194  0.2232  1 Zn 2.29
Cs  0.6659  0.8341  0.5000  8 Cl 3.50-3.70
Cl  0.4806  0.9806  0.7768  1 Zn 2.29
Cl  0.7037  0.4806  0.5000  1 Zn 2.29

Computed properties:
Space group   I4/mcm
V   36.336 Å³ per atom
Total energy   -57.901 eV/cell



# 3
First-principles (PBE) data for RbDyS2 after structural relaxation, as listed in Materials Project.

abc: 4.0818 4.0818 8.0346
angles: 75.28 75.28 60.00
Last column: nearest neighbours and their distance in Å.
Atoms (fractional coordinates):
S  0.2306  0.2306  0.3083  3 Dy 2.78
Dy  0.5000  0.5000  0.5000  6 S 2.78
Rb  0.0000  0.0000  0.0000  6 S 3.34
S  0.7694  0.7694  0.6917  3 Dy 2.78

Computed properties:
Space group   R-3m
V   27.708 Å³ per atom
Total energy   -21.249 eV/cell